# 1
AlI3N5 | PBE | optimized geometry

## Properties
- Uncorrected energy: -4.01 eV per atom
- ΔE_f: 1.343 eV per atom
- Polymorph energy (0 for the lowest one): 165 meV per atom
- Mass density: 6.00 g cm⁻³
- Magnetization: 0.0 μB per formula unit

abc: 5.784 5.784 7.990
angles: 90.00 90.00 81.64
Positions (direct):
N 0.566 0.144 0.250
N 0.212 0.212 0.493
N 0.212 0.212 0.007
N 0.788 0.788 0.507
N 0.434 0.856 0.750
N 0.788 0.788 0.993
N 0.144 0.566 0.250
N 0.856 0.434 0.750
N 0.988 0.988 0.750
N 0.012 0.012 0.250
I 0.783 0.783 0.250
I 0.217 0.217 0.750
I 0.730 0.270 0.000
I 0.270 0.730 0.000
I 0.730 0.270 0.500
I 0.270 0.730 0.500
Al 0.770 0.770 0.750
Al 0.230 0.230 0.250

---

# 2
Tb2Zr2O7 | PBE | optimized geometry

## Properties
- Uncorrected energy: -8.93 eV per atom
- ΔE_f: -3.820 eV per atom
- Mass density: 5.93 g cm⁻³
- Magnetization: 0.0 μB per formula unit

abc: 7.351 7.351 12.686
angles: 90.00 90.00 90.00
Positions (direct):
O 0.349 0.349 0.500
O 0.585 0.173 0.676
O 0.093 0.931 0.085
O 0.344 0.138 0.295
O 0.085 0.327 0.074
O 0.407 0.431 0.165
O 0.673 0.915 0.426
O 0.844 0.362 0.455
O 0.915 0.673 0.574
O 0.827 0.415 0.824
O 0.569 0.593 0.335
O 0.849 0.151 0.250
O 0.156 0.638 0.955
O 0.069 0.907 0.415
O 0.651 0.651 0.000
O 0.862 0.656 0.205
O 0.907 0.069 0.585
O 0.593 0.569 0.665
O 0.931 0.093 0.915
O 0.362 0.844 0.545
O 0.138 0.344 0.705
O 0.656 0.862 0.795
O 0.151 0.849 0.750
O 0.431 0.407 0.835
O 0.415 0.827 0.176
O 0.327 0.085 0.926
O 0.173 0.585 0.324
O 0.638 0.156 0.045
Zr 0.370 0.400 0.345
Zr 0.630 0.600 0.845
Zr 0.400 0.370 0.655
Zr 0.900 0.130 0.095
Zr 0.100 0.870 0.595
Zr 0.600 0.630 0.155
Zr 0.130 0.900 0.905
Zr 0.870 0.100 0.405
Tb 0.138 0.627 0.135
Tb 0.362 0.127 0.115
Tb 0.862 0.373 0.635
Tb 0.873 0.638 0.385
Tb 0.638 0.873 0.615
Tb 0.373 0.862 0.365
Tb 0.127 0.362 0.885
Tb 0.627 0.138 0.865

---

# 3
LiAc2Pb | PBE | optimized geometry

## Properties
- Uncorrected energy: -3.73 eV per atom
- ΔE_f: -0.266 eV per atom
- Mass density: 7.94 g cm⁻³

abc: 5.825 5.825 5.825
angles: 60.00 60.00 60.00
Positions (direct):
Ac 0.250 0.250 0.250
Ac 0.750 0.750 0.750
Pb 0.000 0.000 0.000
Li 0.500 0.500 0.500

---

# 4
Na5LuH4C4O14 | PBE | optimized geometry

## Properties
- Uncorrected energy: -6.43 eV per atom
- ΔE_f: -2.100 eV per atom
- Mass density: 2.76 g cm⁻³
- Magnetization: 0.0 μB per formula unit

abc: 7.646 7.646 11.670
angles: 90.00 90.00 90.00
Positions (direct):
O 0.093 0.823 0.854
O 0.408 0.273 0.118
O 0.273 0.592 0.882
O 0.836 0.251 0.033
O 0.592 0.727 0.118
O 0.727 0.408 0.882
O 0.336 0.249 0.467
O 0.751 0.336 0.533
O 0.823 0.907 0.146
O 0.907 0.177 0.854
O 0.773 0.908 0.618
O 0.164 0.749 0.033
O 0.749 0.836 0.967
O 0.500 0.000 0.331
O 0.092 0.773 0.382
O 0.908 0.227 0.382
O 0.177 0.093 0.146
O 0.500 0.000 0.831
O 0.593 0.677 0.646
O 0.664 0.751 0.467
O 0.251 0.164 0.967
O 0.000 0.500 0.669
O 0.407 0.323 0.646
O 0.249 0.664 0.533
O 0.000 0.500 0.169
O 0.677 0.407 0.354
O 0.323 0.593 0.354
O 0.227 0.092 0.618
H 0.579 0.935 0.883
H 0.065 0.579 0.117
H 0.935 0.421 0.117
H 0.565 0.921 0.383
H 0.079 0.565 0.617
H 0.421 0.065 0.883
H 0.921 0.435 0.617
H 0.435 0.079 0.383
Na 0.824 0.681 0.292
Na 0.319 0.824 0.708
Na 0.181 0.324 0.792
Na 0.500 0.500 0.000
Na 0.000 0.000 0.500
Na 0.676 0.181 0.208
Na 0.324 0.819 0.208
Na 0.681 0.176 0.708
Na 0.176 0.319 0.292
Na 0.819 0.676 0.792
Lu 0.500 0.500 0.500
Lu 0.000 0.000 0.000
C 0.320 0.216 0.578
C 0.680 0.784 0.578
C 0.216 0.680 0.422
C 0.716 0.820 0.078
C 0.820 0.284 0.922
C 0.180 0.716 0.922
C 0.784 0.320 0.422
C 0.284 0.180 0.078